1.
Compound: Na4Ge2Te5
Source: the Materials Project database
Functional: PBE
Structure: optimized geometry

calculated total energy	-3.336	eV per atom
E above lowest polymorph	0.0000	eV per atom
E (MP2020)	-77.61	eV/cell
SG	P-1

Unit cell a=8.0073 b=9.7563 c=10.8500 alpha=68.22 beta=70.79 gamma=67.71
With the nearest neighbours (Å) after each atom.
Atoms (fractional coordinates):
Na: 0.0371 0.2631 0.4817  5 Te 3.18-3.41
Na: 0.1785 0.0483 0.0858  5 Te 3.22-3.33
Na: 0.2327 0.5586 0.0727  5 Te 3.21-3.50
Na: 0.3732 0.3675 0.6902  5 Te 3.21-3.40
Na: 0.6268 0.6325 0.3098  5 Te 3.21-3.40
Na: 0.7673 0.4414 0.9273  5 Te 3.21-3.50
Na: 0.8215 0.9517 0.9142  5 Te 3.22-3.33
Na: 0.9629 0.7369 0.5183  5 Te 3.18-3.41
Ge: 0.3954 0.7626 0.6448  1 Ge 2.50, 3 Te 2.60-2.68
Ge: 0.4147 0.9402 0.7536  1 Ge 2.50, 3 Te 2.59-2.69
Ge: 0.5853 0.0598 0.2464  1 Ge 2.50, 3 Te 2.59-2.69
Ge: 0.6046 0.2374 0.3552  1 Ge 2.50, 3 Te 2.60-2.68
Te: 0.1041 0.1575 0.7804  1 Ge 2.60
Te: 0.1044 0.6715 0.7853  1 Ge 2.60
Te: 0.3050 0.9428 0.4063  2 Ge 2.68-2.69
Te: 0.3090 0.4705 0.3722  1 Ge 2.60
Te: 0.4874 0.2315 0.0196  1 Ge 2.59
Te: 0.5126 0.7685 0.9804  1 Ge 2.59
Te: 0.6910 0.5295 0.6278  1 Ge 2.60
Te: 0.6950 0.0572 0.5937  2 Ge 2.68-2.69
Te: 0.8956 0.3285 0.2147  1 Ge 2.60
Te: 0.8959 0.8425 0.2196  1 Ge 2.60



2.
Compound: CdRe2H26C6S6N12O9
Source: the Materials Project database
Functional: PBE
Structure: optimized geometry

spin magnetization	0.126	μB/cell
calculated total energy	-5.986	eV per atom
E (MP2020)	-760.62	eV/cell
SG	C2/c

Unit cell a=10.7539 b=10.7539 c=15.1348 alpha=106.32 beta=106.32 gamma=85.18
With the nearest neighbours (Å) after each atom.
Atoms (fractional coordinates):
Cd: 0.0000 0.5000 0.0000  6 S 2.72-2.84
Cd: 0.5000 0.0000 0.5000  6 S 2.72-2.84
Re: 0.0012 0.3367 0.3596  4 O 1.74-1.77
Re: 0.3367 0.0012 0.8596  4 O 1.74-1.77
Re: 0.6633 0.9988 0.1404  4 O 1.74-1.77
Re: 0.9988 0.6633 0.6404  4 O 1.74-1.77
H: 0.0099 0.1826 0.5991  1 N 1.02
H: 0.0175 0.7439 0.9250  1 N 1.02
H: 0.0302 0.8459 0.3033  1 N 1.02
H: 0.1144 0.8777 0.9471  1 N 1.03
H: 0.1223 0.8856 0.5529  1 N 1.03
H: 0.1541 0.9698 0.1967  1 N 1.02
H: 0.1826 0.0099 0.0991  1 N 1.02
H: 0.2032 0.3767 0.7265  1 N 1.02
H: 0.2102 0.3599 0.5737  1 N 1.02
H: 0.2561 0.9825 0.5750  1 N 1.02
H: 0.2657 0.3313 0.0275  1 N 1.02
H: 0.2776 0.3018 0.2918  1 N 1.02
H: 0.2805 0.6176 0.1313  1 N 1.02
H: 0.2825 0.5168 0.4831  1 N 1.03
H: 0.2846 0.5875 0.3510  1 N 1.02
H: 0.2875 0.6049 0.7247  1 O 0.98
H: 0.3018 0.2776 0.7918  1 N 1.02
H: 0.3313 0.2657 0.5275  1 N 1.02
H: 0.3599 0.2102 0.0737  1 N 1.02
H: 0.3749 0.5988 0.5986  1 N 1.02
H: 0.3767 0.2032 0.2265  1 N 1.02
H: 0.3824 0.7195 0.3687  1 N 1.02
H: 0.3951 0.7125 0.7753  1 O 0.98
H: 0.4012 0.6251 0.9014  1 N 1.02
H: 0.4125 0.7154 0.1490  1 N 1.02
H: 0.4832 0.7175 0.0169  1 N 1.03
H: 0.5168 0.2825 0.9831  1 N 1.03
H: 0.5875 0.2846 0.8510  1 N 1.02
H: 0.5988 0.3749 0.0986  1 N 1.02
H: 0.6049 0.2875 0.2247  1 O 0.98
H: 0.6176 0.2805 0.6313  1 N 1.02
H: 0.6233 0.7968 0.7735  1 N 1.02
H: 0.6251 0.4012 0.4014  1 N 1.02
H: 0.6401 0.7898 0.9263  1 N 1.02
H: 0.6687 0.7343 0.4725  1 N 1.02
H: 0.6982 0.7224 0.2082  1 N 1.02
H: 0.7125 0.3951 0.2753  1 O 0.98
H: 0.7154 0.4125 0.6490  1 N 1.02
H: 0.7175 0.4832 0.5169  1 N 1.03
H: 0.7195 0.3824 0.8687  1 N 1.02
H: 0.7224 0.6982 0.7082  1 N 1.02
H: 0.7343 0.6687 0.9725  1 N 1.02
H: 0.7439 0.0175 0.4250  1 N 1.02
H: 0.7898 0.6401 0.4263  1 N 1.02
H: 0.7968 0.6233 0.2735  1 N 1.02
H: 0.8174 0.9901 0.9009  1 N 1.02
H: 0.8459 0.0302 0.8033  1 N 1.02
H: 0.8777 0.1144 0.4471  1 N 1.03
H: 0.8856 0.1223 0.0529  1 N 1.03
H: 0.9698 0.1541 0.6967  1 N 1.02
H: 0.9825 0.2561 0.0750  1 N 1.02
H: 0.9901 0.8174 0.4009  1 N 1.02
C: 0.0757 0.8461 0.0651  2 N 1.34
C: 0.1539 0.9243 0.4349  2 N 1.34
C: 0.2574 0.3290 0.1603  2 N 1.33-1.34
C: 0.3290 0.2574 0.6603  2 N 1.33-1.34
C: 0.3290 0.6103 0.0093  2 N 1.33-1.34
C: 0.3897 0.6710 0.4907  2 N 1.33-1.34
C: 0.6103 0.3290 0.5093  2 N 1.33-1.34
C: 0.6710 0.3897 0.9907  2 N 1.33-1.34
C: 0.6710 0.7426 0.3397  2 N 1.33-1.34
C: 0.7426 0.6710 0.8397  2 N 1.33-1.34
C: 0.8461 0.0757 0.5651  2 N 1.34
C: 0.9243 0.1539 0.9349  2 N 1.34
S: 0.0074 0.7483 0.1107  1 C 1.72
S: 0.1515 0.4571 0.1758  1 C 1.72
S: 0.2100 0.5025 0.9338  1 C 1.72
S: 0.2517 0.9926 0.3893  1 C 1.72
S: 0.4571 0.1515 0.6758  1 C 1.72
S: 0.4975 0.7900 0.5662  1 C 1.72
S: 0.5025 0.2100 0.4338  1 C 1.72
S: 0.5429 0.8485 0.3242  1 C 1.72
S: 0.7483 0.0074 0.6107  1 C 1.72
S: 0.7900 0.4975 0.0662  1 C 1.72
S: 0.8485 0.5429 0.8242  1 C 1.72
S: 0.9926 0.2517 0.8893  1 C 1.72
N: 0.0497 0.8571 0.3748  2 H 1.02
N: 0.0626 0.8254 0.9717  2 H 1.02-1.03
N: 0.1429 0.9503 0.1252  2 H 1.02
N: 0.1746 0.9374 0.5283  2 H 1.02-1.03
N: 0.2671 0.3012 0.7288  2 H 1.02
N: 0.2873 0.2981 0.5815  2 H 1.02
N: 0.2981 0.2873 0.0815  2 H 1.02
N: 0.3012 0.2671 0.2288  2 H 1.02
N: 0.3418 0.6520 0.1034  2 H 1.02
N: 0.3482 0.5874 0.5266  2 H 1.02-1.03
N: 0.3480 0.6582 0.3966  2 H 1.02
N: 0.4126 0.6518 0.9734  2 H 1.02-1.03
N: 0.5874 0.3482 0.0266  2 H 1.02-1.03
N: 0.6520 0.3418 0.6034  2 H 1.02
N: 0.6518 0.4126 0.4734  2 H 1.02-1.03
N: 0.6582 0.3480 0.8966  2 H 1.02
N: 0.6988 0.7329 0.7712  2 H 1.02
N: 0.7019 0.7127 0.9185  2 H 1.02
N: 0.7127 0.7019 0.4185  2 H 1.02
N: 0.7329 0.6988 0.2712  2 H 1.02
N: 0.8254 0.0626 0.4717  2 H 1.02-1.03
N: 0.8571 0.0497 0.8748  2 H 1.02
N: 0.9374 0.1746 0.0283  2 H 1.02-1.03
N: 0.9503 0.1429 0.6252  2 H 1.02
O: 0.0246 0.7387 0.5583  1 Re 1.75
O: 0.0252 0.7741 0.7524  1 Re 1.74
O: 0.1101 0.5333 0.6485  1 Re 1.77
O: 0.1627 0.3920 0.3982  1 Re 1.77, 1 H 1.87
O: 0.2259 0.9748 0.7476  1 Re 1.74
O: 0.2613 0.9754 0.9417  1 Re 1.75
O: 0.3814 0.6186 0.7500  2 H 0.98
O: 0.3920 0.1627 0.8982  1 Re 1.77, 1 H 1.87
O: 0.4667 0.8899 0.8515  1 Re 1.77
O: 0.5333 0.1101 0.1485  1 Re 1.77
O: 0.6080 0.8373 0.1018  1 Re 1.77, 1 H 1.87
O: 0.6186 0.3814 0.2500  2 H 0.98
O: 0.7387 0.0246 0.0583  1 Re 1.75
O: 0.7741 0.0252 0.2524  1 Re 1.74
O: 0.8373 0.6080 0.6018  1 Re 1.77, 1 H 1.87
O: 0.8899 0.4667 0.3515  1 Re 1.77
O: 0.9748 0.2259 0.2476  1 Re 1.74
O: 0.9754 0.2613 0.4417  1 Re 1.75



3.
Compound: K2YSbO7
Source: the Materials Project database
Functional: PBE
Structure: optimized geometry

spin magnetization	8.000	μB/cell
calculated total energy	-5.731	eV per atom
E (MP2020)	-135.70	eV/cell
SG	Imma

Unit cell a=8.1611 b=8.1611 c=8.1611 alpha=120.40 beta=91.57 gamma=117.82
With the nearest neighbours (Å) after each atom.
Atoms (fractional coordinates):
K: 0.0000 0.0000 0.0000  6 O 2.67-2.97
K: 0.5000 0.0000 0.0000  4 O 2.80
K: 0.5000 0.0000 0.5000  6 O 2.67-2.97
K: 0.5000 0.5000 0.5000  4 O 2.80
Y: 0.0000 0.0000 0.5000  6 O 2.24-2.28
Y: 0.0000 0.5000 0.0000  6 O 2.24-2.28
Sb: 0.0000 0.5000 0.5000  6 O 1.97-1.99
Sb: 0.5000 0.5000 0.0000  6 O 1.97-1.99
O: 0.0434 0.2560 0.4355  1 Sb 1.99
O: 0.0434 0.6080 0.7875  1 Sb 1.99
O: 0.1137 0.8637 0.2500  2 Y 2.24
O: 0.2887 0.7048 0.5839  1 Sb 1.97
O: 0.3205 0.2560 0.7125  1 Sb 1.99
O: 0.3205 0.6080 0.0645  1 Sb 1.99
O: 0.3792 0.2952 0.0839  1 Sb 1.97
O: 0.6208 0.7048 0.9161  1 Sb 1.97
O: 0.6795 0.3920 0.9355  1 Sb 1.99
O: 0.6795 0.7440 0.2875  1 Sb 1.99
O: 0.7113 0.2952 0.4161  1 Sb 1.97
O: 0.8863 0.1363 0.7500  2 Y 2.24
O: 0.9566 0.3920 0.2125  1 Sb 1.99
O: 0.9566 0.7440 0.5645  1 Sb 1.99



4.
Compound: Ba6Nb3HO14
Source: the Materials Project database
Functional: PBE
Structure: optimized geometry

spin magnetization	0.006	μB/cell
calculated total energy	-7.461	eV per atom
E (MP2020)	-377.39	eV/cell
SG	Pmn2_1

Unit cell a=6.1486 b=12.7586 c=10.6755 alpha=90.00 beta=90.00 gamma=90.00
With the nearest neighbours (Å) after each atom.
Atoms (fractional coordinates):
Ba: 0.0000 0.0048 0.0000  5 O 2.69-3.00
Ba: 0.0000 0.1720 0.6781  2 O 2.68
Ba: 0.0000 0.3321 0.0583  6 O 2.62-2.74
Ba: 0.0000 0.5872 0.3340  1 O 2.47
Ba: 0.0000 0.6655 0.9595  6 O 2.67-2.80
Ba: 0.0000 0.8566 0.6761  2 O 2.59-2.70
Ba: 0.5000 0.1434 0.1761  2 O 2.59-2.70
Ba: 0.5000 0.3345 0.4595  6 O 2.67-2.80
Ba: 0.5000 0.4128 0.8340  1 O 2.47
Ba: 0.5000 0.6679 0.5583  6 O 2.62-2.74
Ba: 0.5000 0.8280 0.1781  2 O 2.68
Ba: 0.5000 0.9952 0.5000  5 O 2.69-3.00
Nb: 0.0000 0.0969 0.3460  4 O 1.91-2.08
Nb: 0.0000 0.5071 0.6549  4 O 1.87-1.89
Nb: 0.0000 0.8589 0.3385  3 O 1.92-1.94
Nb: 0.5000 0.1411 0.8385  3 O 1.92-1.94
Nb: 0.5000 0.4929 0.1549  4 O 1.87-1.89
Nb: 0.5000 0.9031 0.8460  4 O 1.91-2.08
H: 0.0000 0.3244 0.3372  1 O 0.98
H: 0.5000 0.6756 0.8372  1 O 0.98
O: 0.0000 0.1534 0.1792  1 Nb 1.92
O: 0.0000 0.3956 0.3034  1 H 0.98
O: 0.0000 0.4035 0.7810  1 Nb 1.89
O: 0.0000 0.6466 0.7102  1 Nb 1.87
O: 0.0000 0.7721 0.1892  1 Nb 1.94
O: 0.0000 0.9840 0.4871  2 Nb 2.08-2.25
O: 0.2264 0.9734 0.2688  2 Nb 2.15-2.26
O: 0.2287 0.7883 0.4270  1 Nb 1.92
O: 0.2407 0.1685 0.4200  1 Nb 1.91
O: 0.2432 0.4926 0.5505  1 Nb 1.87
O: 0.2568 0.5074 0.0505  1 Nb 1.87
O: 0.2593 0.8315 0.9200  1 Nb 1.91
O: 0.2713 0.2117 0.9270  1 Nb 1.92
O: 0.2736 0.0266 0.7688  2 Nb 2.15-2.26
O: 0.5000 0.0160 0.9871  2 Nb 2.08-2.25
O: 0.5000 0.2279 0.6892  1 Nb 1.94
O: 0.5000 0.3534 0.2102  1 Nb 1.87
O: 0.5000 0.5965 0.2810  1 Nb 1.89
O: 0.5000 0.6044 0.8034  1 H 0.98
O: 0.5000 0.8466 0.6792  1 Nb 1.92
O: 0.7264 0.0266 0.7688  2 Nb 2.15-2.26
O: 0.7287 0.2117 0.9270  1 Nb 1.92
O: 0.7407 0.8315 0.9200  1 Nb 1.91
O: 0.7432 0.5074 0.0505  1 Nb 1.87
O: 0.7568 0.4926 0.5505  1 Nb 1.87
O: 0.7593 0.1685 0.4200  1 Nb 1.91
O: 0.7713 0.7883 0.4270  1 Nb 1.92
O: 0.7736 0.9734 0.2688  2 Nb 2.15-2.26



E_form values, unit meV per atom, following the record order: -778, -670, -1854, -3092.